Entry 1:
First-principles (PBE-GGA) data for a relaxed Ca2Nd3Si3O13 crystal, as listed in the Materials Project database.

Lattice parameters (Å, degrees): 9.6220 9.6220 7.0858 90.00 90.00 120.00
Space group P6_3/m (No. 176)
Symmetry-distinct sites (fractional):
Ca 0.3333 0.6667 0.0032 [4 per cell]
Nd 0.0112 0.7598 0.2500 [6 per cell]
Si 0.0284 0.6293 0.7500 [6 per cell]
O 0.0000 0.0000 0.2500 [2 per cell]
O 0.0897 0.7528 0.5674 [12 per cell]
O 0.1252 0.5296 0.7500 [6 per cell]
O 0.1665 0.4828 0.2500 [6 per cell]

Values from the calculation:
ΔE_f   -3.512 eV/atom
Total DFT energy (no corrections)   -7.80 eV per atom
Calculated volume   568.1 Å³ per cell

***

Entry 2:
First-principles (PBE-GGA) data for a relaxed CaGd2O4 crystal, as listed in the Materials Project database.

Lattice parameters (Å, degrees): 10.060 3.430 11.939 90.00 90.00 90.00
Space group Pnma (No. 62)
Symmetry-distinct sites (fractional):
Ca 0.250 0.250 0.148 [4 per cell]
Gd 0.079 0.250 0.386 [4 per cell]
Gd 0.079 0.250 0.888 [4 per cell]
O 0.023 0.750 0.781 [4 per cell]
O 0.079 0.250 0.580 [4 per cell]
O 0.134 0.750 0.024 [4 per cell]
O 0.211 0.750 0.308 [4 per cell]

Values from the calculation:
ΔE_f   -3.641 eV/atom
Total DFT energy (no corrections)   -10.38 eV per atom
Calculated volume   412.0 Å³ per cell

***

Entry 3:
First-principles (PBE-GGA) data for a relaxed Na3LaSiSnP2O12 crystal, as listed in the Materials Project database.

Lattice parameters (Å, degrees): 16.305 9.461 22.757 90.00 90.25 90.00
Space group Cc (No. 9)
Symmetry-distinct sites (fractional):
Na 0.000 0.005 0.000 [4 per cell]
Na 0.006 0.356 0.245 [4 per cell]
Na 0.166 0.186 0.082 [4 per cell]
Na 0.171 0.487 0.667 [4 per cell]
Na 0.173 0.146 0.407 [4 per cell]
Na 0.326 0.323 0.244 [4 per cell]
Na 0.334 0.007 0.333 [4 per cell]
Na 0.338 0.371 0.575 [4 per cell]
Na 0.357 0.330 0.916 [4 per cell]
La 0.010 0.017 0.847 [4 per cell]
La 0.168 0.500 0.014 [4 per cell]
La 0.335 0.001 0.182 [4 per cell]
Si 0.153 0.166 0.250 [4 per cell]
Si 0.320 0.337 0.417 [4 per cell]
Si 0.349 0.301 0.081 [4 per cell]
Sn 0.009 0.008 0.647 [4 per cell]
Sn 0.173 0.497 0.313 [4 per cell]
Sn 0.344 0.001 0.980 [4 per cell]
P 0.015 0.363 0.408 [4 per cell]
P 0.018 0.306 0.744 [4 per cell]
P 0.184 0.134 0.575 [4 per cell]
P 0.187 0.200 0.915 [4 per cell]
P 0.353 0.367 0.748 [4 per cell]
P 0.485 0.170 0.584 [4 per cell]
O 0.027 0.205 0.690 [4 per cell]
O 0.058 0.423 0.351 [4 per cell]
O 0.069 0.387 0.461 [4 per cell]
O 0.074 0.379 0.078 [4 per cell]
O 0.093 0.119 0.191 [4 per cell]
O 0.102 0.045 0.581 [4 per cell]
O 0.103 0.384 0.751 [4 per cell]
O 0.113 0.117 0.311 [4 per cell]
O 0.120 0.088 0.909 [4 per cell]
O 0.153 0.344 0.248 [4 per cell]
O 0.166 0.291 0.571 [4 per cell]
O 0.177 0.271 0.975 [4 per cell]
O 0.190 0.312 0.864 [4 per cell]
O 0.228 0.068 0.520 [4 per cell]
O 0.237 0.112 0.630 [4 per cell]
O 0.248 0.113 0.248 [4 per cell]
O 0.256 0.373 0.360 [4 per cell]
O 0.267 0.444 0.750 [4 per cell]
O 0.270 0.408 0.077 [4 per cell]
O 0.273 0.122 0.914 [4 per cell]
O 0.280 0.393 0.477 [4 per cell]
O 0.322 0.159 0.419 [4 per cell]
O 0.334 0.215 0.141 [4 per cell]
O 0.345 0.207 0.742 [4 per cell]
O 0.356 0.193 0.022 [4 per cell]
O 0.399 0.399 0.805 [4 per cell]
O 0.399 0.438 0.694 [4 per cell]
O 0.409 0.413 0.413 [4 per cell]
O 0.427 0.127 0.531 [4 per cell]
O 0.431 0.060 0.914 [4 per cell]
O 0.434 0.401 0.084 [4 per cell]
O 0.451 0.082 0.236 [4 per cell]
O 0.451 0.120 0.643 [4 per cell]
O 0.485 0.337 0.583 [4 per cell]
O 0.494 0.277 0.299 [4 per cell]
O 0.499 0.298 0.904 [4 per cell]

Values from the calculation:
ΔE_f   -2.758 eV/atom
Total DFT energy (no corrections)   -6.77 eV per atom
Calculated volume   3510.6 Å³ per cell

***

Entry 4:
First-principles (PBE-GGA) data for a relaxed Nb2Zn2TeO8 crystal, as listed in the Materials Project database.

Lattice parameters (Å, degrees): 5.268 6.144 11.456 78.92 82.89 89.81
Space group P-1 (No. 2)
Symmetry-distinct sites (fractional):
Nb 0.197 0.314 0.245 [2 per cell]
Nb 0.279 0.990 0.781 [2 per cell]
Zn 0.253 0.870 0.054 [2 per cell]
Zn 0.266 0.428 0.952 [2 per cell]
Te 0.334 0.665 0.479 [2 per cell]
O 0.011 0.023 0.307 [2 per cell]
O 0.033 0.471 0.353 [2 per cell]
O 0.085 0.696 0.876 [2 per cell]
O 0.127 0.162 0.900 [2 per cell]
O 0.351 0.552 0.104 [2 per cell]
O 0.447 0.100 0.106 [2 per cell]
O 0.457 0.247 0.678 [2 per cell]
O 0.499 0.215 0.317 [2 per cell]

Values from the calculation:
ΔE_f   -2.245 eV/atom
Total DFT energy (no corrections)   -6.86 eV per atom
Calculated volume   361.0 Å³ per cell

***

Entry 5:
First-principles (PBE-GGA) data for a relaxed EuPS3 crystal, as listed in the Materials Project database.

Lattice parameters (Å, degrees): 6.691 7.568 11.348 90.00 124.26 90.00
Space group P2_1/c (No. 14)
Symmetry-distinct sites (fractional):
Eu 0.211 0.117 0.250 [4 per cell]
P 0.129 0.605 0.065 [4 per cell]
S 0.089 0.201 0.941 [4 per cell]
S 0.278 0.687 0.959 [4 per cell]
S 0.367 0.001 0.760 [4 per cell]

Values from the calculation:
ΔE_f   -1.397 eV/atom
Total DFT energy (no corrections)   -6.71 eV per atom
Calculated volume   474.9 Å³ per cell

***

Entry 6:
First-principles (PBE-GGA) data for a relaxed KNaBi2O6 crystal, as listed in the Materials Project database.

Lattice parameters (Å, degrees): 8.382 5.946 5.925 90.00 90.00 90.00
Space group Pmn2_1 (No. 31)
Symmetry-distinct sites (fractional):
K 0.000 0.220 0.000 [2 per cell]
Na 0.000 0.706 0.516 [2 per cell]
Bi 0.249 0.752 0.006 [4 per cell]
O 0.000 0.286 0.436 [2 per cell]
O 0.000 0.758 0.107 [2 per cell]
O 0.201 0.950 0.702 [4 per cell]
O 0.209 0.468 0.790 [4 per cell]

Values from the calculation:
ΔE_f   -1.493 eV/atom
Total DFT energy (no corrections)   -5.07 eV per atom
Calculated volume   295.3 Å³ per cell